Material: SrNi12B6
Method: DFT, PBE-GGA
State: optimized geometry

a b c (Å): 9.5653 9.5653 7.4449
angles (deg): 90.00 90.00 120.00
Space group R-3m (No. 166, hexagonal axes)
Asymmetric unit:
Sr  0.0000  0.0000  0.0000
Ni  0.0000  0.3686  0.5000
Ni  0.0909  0.1817  0.3695
B  0.0497  0.5248  0.2912

Output
Electronic total energy (eV per cell): -353.007